Entry 1:
# Pr2RuO5

A geometry-optimized Pr2RuO5 structure (GGA-PBE, the Materials Project database).

abc: 10.753 3.994 11.689
angles: 90.00 90.00 90.00
Element x y z (fractional)
Pr  0.099  0.250  0.227
Pr  0.134  0.250  0.564
Pr  0.366  0.750  0.064
Pr  0.401  0.750  0.727
Pr  0.599  0.250  0.273
Pr  0.634  0.250  0.936
Pr  0.866  0.750  0.436
Pr  0.901  0.750  0.773
Ru  0.193  0.250  0.881
Ru  0.307  0.750  0.381
Ru  0.693  0.250  0.619
Ru  0.807  0.750  0.119
O  0.010  0.750  0.598
O  0.035  0.250  0.806
O  0.220  0.250  0.042
O  0.226  0.750  0.227
O  0.238  0.750  0.883
O  0.262  0.250  0.383
O  0.274  0.250  0.727
O  0.280  0.750  0.542
O  0.465  0.750  0.306
O  0.490  0.250  0.098
O  0.510  0.750  0.902
O  0.535  0.250  0.694
O  0.720  0.250  0.458
O  0.726  0.750  0.273
O  0.738  0.750  0.617
O  0.762  0.250  0.117
O  0.774  0.250  0.773
O  0.780  0.750  0.958
O  0.965  0.750  0.194
O  0.990  0.250  0.402

Results
Its crystal system is orthorhombic. As for the MP2020-corrected energy: -263.886 eV/cell. Its space group is Pnma (62). The calculation puts the magnetic moment at 8.0 Bohr magnetons per cell. The formation energy is -2799 meV per atom.



Entry 2:
# Rb4CO6

A geometry-optimized Rb4CO6 structure (GGA-PBE, the Materials Project database).

abc: 5.898 7.072 7.343
angles: 76.45 75.82 88.46
Element x y z (fractional)
Rb  0.000  0.000  0.000
Rb  0.140  0.442  0.150
Rb  0.552  0.085  0.402
Rb  0.760  0.591  0.717
C  0.011  0.988  0.569
O  0.077  0.069  0.383
O  0.143  0.860  0.651
O  0.635  0.575  0.219
O  0.760  0.669  0.302
O  0.763  0.334  0.043
O  0.813  0.032  0.673

Results
Its crystal system is triclinic. As for the MP2020-corrected energy: -56.988 eV/cell. Its space group is P1 (1). The calculation puts the magnetic moment at 2.0 Bohr magnetons per cell. The formation energy is -1286 meV per atom.



Entry 3:
# Mn7SnN2

A geometry-optimized Mn7SnN2 structure (GGA-PBE, the Materials Project database).

abc: 3.843 3.843 7.730
angles: 90.00 90.00 90.00
Element x y z (fractional)
Mn  0.000  0.000  0.000
Mn  0.000  0.000  0.500
Mn  0.000  0.500  0.249
Mn  0.000  0.500  0.751
Mn  0.500  0.000  0.249
Mn  0.500  0.000  0.751
Mn  0.500  0.500  0.500
Sn  0.500  0.500  0.000
N  0.000  0.000  0.254
N  0.000  0.000  0.746

Results
Its crystal system is tetragonal. As for the MP2020-corrected energy: -86.310 eV/cell. Its space group is P4/mmm (123). The calculation puts the magnetic moment at 11.2 Bohr magnetons per cell. The formation energy is -149 meV per atom.